No. 1
# V3CoSb2P6O24

V3CoSb2P6O24 after structural relaxation (GGA+U, Materials Project).

Cell lengths 8.8625, 8.8625, 8.8625 Å; angles 58.87, 58.87, 58.87 degrees
Fractional positions:
V (0.3518, 0.3518, 0.3518)
V (0.1451, 0.1451, 0.1451)
V (0.6475, 0.6475, 0.6475)
O (0.0203, 0.6126, 0.7964)
O (0.4999, 0.3089, 0.1184)
O (0.5615, 0.4186, 0.7693)
O (0.4936, 0.6976, 0.8841)
O (0.5799, 0.2352, 0.4331)
O (0.4331, 0.5799, 0.2352)
O (0.0646, 0.2667, 0.9142)
O (0.7323, 0.0883, 0.9439)
O (0.8841, 0.4936, 0.6976)
O (0.4186, 0.7693, 0.5615)
O (0.1184, 0.4999, 0.3089)
O (0.2667, 0.9142, 0.0646)
O (0.3838, 0.1982, 0.9945)
O (0.9945, 0.3838, 0.1982)
O (0.9142, 0.0646, 0.2667)
O (0.7693, 0.5615, 0.4186)
O (0.1982, 0.9945, 0.3838)
O (0.9439, 0.7323, 0.0883)
O (0.6126, 0.7964, 0.0203)
O (0.7964, 0.0203, 0.6126)
O (0.0883, 0.9439, 0.7323)
O (0.2352, 0.4331, 0.5799)
O (0.3089, 0.1184, 0.4999)
O (0.6976, 0.8841, 0.4936)
P (0.4589, 0.7515, 0.0418)
P (0.2524, 0.9607, 0.5393)
P (0.7515, 0.0418, 0.4589)
P (0.9607, 0.5393, 0.2524)
P (0.0418, 0.4589, 0.7515)
P (0.5393, 0.2524, 0.9607)
Sb (0.4956, 0.4956, 0.4956)
Sb (0.9916, 0.9916, 0.9916)
Co (0.8475, 0.8475, 0.8475)

Corrected total energy (MP2020 scheme) = -0.2865 hartree per atom
Density = 3.6 g cm⁻³
E_form = -8377.4 kJ/mol of formula units
V = 13.3 A^3/atom
VASP energy = -7.151 eV/atom

No. 2
# V3O5F

V3O5F after structural relaxation (GGA+U, Materials Project).

Cell lengths 5.5209, 5.5209, 7.3296 Å; angles 70.12, 70.12, 71.84 degrees
Fractional positions:
O (0.9610, 0.3686, 0.3342)
O (0.2941, 0.6966, 0.0066)
O (0.3686, 0.9610, 0.3342)
O (0.0969, 0.0969, 0.6966)
O (0.6379, 0.0400, 0.6593)
O (0.2378, 0.2378, 0.9653)
O (0.6966, 0.2941, 0.0066)
O (0.4327, 0.4327, 0.3689)
O (0.0400, 0.6379, 0.6593)
O (0.7721, 0.7721, 0.0380)
F (0.5643, 0.5643, 0.6330)
F (0.8990, 0.8990, 0.3000)
V (0.6739, 0.6739, 0.8465)
V (0.3382, 0.3382, 0.1596)
V (0.3194, 0.3194, 0.6713)
V (0.6560, 0.6560, 0.3180)
V (0.9996, 0.9996, 0.5151)
V (0.0120, 0.0120, 0.9874)

Corrected total energy (MP2020 scheme) = -0.3144 hartree per atom
Density = 4.3 g cm⁻³
Excess energy over the best structure of this formula in the dataset = 0.35 eV/f.u.
E_form = -2228.5 kJ/mol of formula units
V = 10.7 A^3/atom
VASP energy = -7.556 eV/atom

No. 3
# Li11Fe12B12O36

Li11Fe12B12O36 after structural relaxation (GGA+U, Materials Project).

Cell lengths 10.3402, 8.7924, 8.7813 Å; angles 107.79, 99.14, 99.11 degrees
Fractional positions:
Fe (0.5182, 0.1583, 0.1584)
Fe (0.1633, 0.1543, 0.5173)
Fe (0.0213, 0.6604, 0.6555)
Fe (0.3112, 0.6864, 0.3217)
Fe (0.5605, 0.9336, 0.5671)
Fe (0.4123, 0.4060, 0.7734)
Fe (0.0609, 0.4337, 0.0699)
Fe (0.6662, 0.6555, 0.0230)
Fe (0.7709, 0.4099, 0.4021)
Fe (0.2831, 0.9092, 0.9030)
Fe (0.8120, 0.1844, 0.8187)
Fe (0.9222, 0.9081, 0.2733)
O (0.8993, 0.0041, 0.0869)
O (0.8709, 0.6171, 0.3996)
O (0.1974, 0.6204, 0.0609)
O (0.9209, 0.7005, 0.1742)
O (0.3965, 0.5065, 0.5919)
O (0.9842, 0.0759, 0.8728)
O (0.6984, 0.1222, 0.5604)
O (0.6720, 0.8084, 0.2180)
O (0.6159, 0.3615, 0.1445)
O (0.7378, 0.8223, 0.6275)
O (0.3336, 0.8054, 0.5577)
O (0.9141, 0.0544, 0.4746)
O (0.6685, 0.4514, 0.9243)
O (0.4599, 0.8617, 0.3160)
O (0.7586, 0.1987, 0.3364)
O (0.1152, 0.9192, 0.0111)
O (0.8671, 0.6723, 0.7828)
O (0.1619, 0.9495, 0.4404)
O (0.9491, 0.3714, 0.8087)
O (0.6217, 0.4272, 0.5369)
O (0.2287, 0.3209, 0.1189)
O (0.0117, 0.4519, 0.5886)
O (0.1328, 0.8707, 0.6745)
O (0.4827, 0.5684, 0.3737)
O (0.4143, 0.5559, 0.9735)
O (0.5826, 0.0530, 0.8035)
O (0.3606, 0.1010, 0.8946)
O (0.1451, 0.2583, 0.3392)
O (0.6454, 0.7550, 0.8397)
O (0.1650, 0.3038, 0.7221)
O (0.4970, 0.9423, 0.0827)
O (0.4198, 0.2010, 0.6824)
O (0.2663, 0.7115, 0.8505)
O (0.0861, 0.5578, 0.3044)
O (0.8331, 0.3063, 0.0509)
O (0.3795, 0.1933, 0.2909)
Li (0.5260, 0.2278, 0.5135)
Li (0.7783, 0.4782, 0.7643)
Li (0.9401, 0.9559, 0.6552)
Li (0.9078, 0.1926, 0.2051)
Li (0.1575, 0.4426, 0.4561)
Li (0.6597, 0.9400, 0.9575)
Li (0.1859, 0.2049, 0.9012)
Li (0.4099, 0.6926, 0.7077)
Li (0.4370, 0.4516, 0.1537)
Li (0.0303, 0.7304, 0.0161)
Li (0.6871, 0.7065, 0.4022)
B (0.5419, 0.8705, 0.2078)
B (0.7061, 0.3732, 0.0399)
B (0.2934, 0.6280, 0.9635)
B (0.2511, 0.2557, 0.2490)
B (0.7911, 0.1248, 0.4579)
B (0.4556, 0.1191, 0.7924)
B (0.2110, 0.8756, 0.5538)
B (0.0421, 0.3751, 0.7068)
B (0.9593, 0.6252, 0.2926)
B (0.7505, 0.7502, 0.7493)
B (0.5006, 0.5007, 0.5000)
B (0.0014, 0.9999, 0.9920)

Corrected total energy (MP2020 scheme) = -0.2711 hartree per atom
Density = 3.3 g cm⁻³
Excess energy over the best structure of this formula in the dataset = 21.83 eV/f.u.
E_form = -13776.0 kJ/mol of formula units
V = 10.3 A^3/atom
VASP energy = -6.646 eV/atom

No. 4
# NbVO5

NbVO5 after structural relaxation (GGA+U, Materials Project).

Cell lengths 5.6317, 7.1129, 12.1402 Å; angles 90.00, 90.00, 90.00 degrees
Fractional positions:
O (0.0001, 0.6568, 0.1248)
O (0.2500, 0.3233, 0.0745)
O (0.7500, 0.5344, 0.7049)
O (0.9999, 0.3432, 0.8752)
O (0.5000, 0.0000, 0.0000)
O (0.4999, 0.8432, 0.6248)
O (0.0000, 0.5000, 0.5000)
O (0.7500, 0.6767, 0.9255)
O (0.0001, 0.8432, 0.6248)
O (0.2500, 0.0344, 0.7951)
O (0.5001, 0.3432, 0.8752)
O (0.0000, 0.0000, 0.0000)
O (0.4999, 0.6568, 0.1248)
O (0.5001, 0.1568, 0.3752)
O (0.9999, 0.1568, 0.3752)
O (0.2500, 0.1767, 0.5745)
O (0.5000, 0.5000, 0.5000)
O (0.2500, 0.4656, 0.2951)
O (0.7500, 0.9656, 0.2049)
O (0.7500, 0.8233, 0.4255)
V (0.7500, 0.0283, 0.3459)
V (0.2500, 0.9717, 0.6541)
V (0.7500, 0.4717, 0.8459)
V (0.2500, 0.5283, 0.1541)
Nb (0.7500, 0.8431, 0.0589)
Nb (0.2500, 0.3431, 0.4411)
Nb (0.2500, 0.1569, 0.9411)
Nb (0.7500, 0.6569, 0.5589)

Corrected total energy (MP2020 scheme) = -0.3304 hartree per atom
Density = 3.1 g cm⁻³
Excess energy over the best structure of this formula in the dataset = 0.00 eV/f.u.
E_form = -1834.0 kJ/mol of formula units
V = 17.4 A^3/atom
VASP energy = -8.257 eV/atom

No. 5
# CoP2O7

CoP2O7 after structural relaxation (GGA+U, Materials Project).

Cell lengths 6.8409, 7.9594, 9.3018 Å; angles 89.99, 109.15, 89.93 degrees
Fractional positions:
O (0.1417, 0.0369, 0.8486)
O (0.5957, 0.5949, 0.8747)
O (0.2263, 0.6192, 0.6939)
O (0.8994, 0.8810, 0.6359)
O (0.9150, 0.6771, 0.4072)
O (0.5229, 0.5879, 0.3668)
O (0.1056, 0.1078, 0.3629)
O (0.9131, 0.8170, 0.9085)
O (0.3900, 0.0951, 0.6258)
O (0.4913, 0.2709, 0.3974)
O (0.5199, 0.9138, 0.8618)
O (0.1434, 0.4536, 0.3447)
O (0.7666, 0.1036, 0.7891)
O (0.0853, 0.1719, 0.0924)
O (0.4884, 0.0851, 0.1508)
O (0.8506, 0.5489, 0.6477)
O (0.8587, 0.9474, 0.1523)
O (0.7656, 0.3901, 0.2952)
O (0.5161, 0.7366, 0.6097)
O (0.1134, 0.4009, 0.8559)
O (0.4940, 0.2285, 0.8926)
O (0.0764, 0.3305, 0.5812)
O (0.6100, 0.9036, 0.3809)
O (0.8915, 0.6037, 0.1336)
O (0.2376, 0.8871, 0.2094)
O (0.5161, 0.7681, 0.1116)
O (0.4766, 0.4173, 0.6408)
O (0.3864, 0.4129, 0.1345)
P (0.9309, 0.9547, 0.7936)
P (0.9287, 0.5376, 0.2950)
P (0.0675, 0.4695, 0.6976)
P (0.4642, 0.5952, 0.7037)
P (0.4739, 0.9095, 0.2112)
P (0.5345, 0.0885, 0.7935)
P (0.5321, 0.4131, 0.2970)
P (0.0709, 0.0343, 0.2047)
Co (0.2793, 0.2808, 0.4951)
Co (0.2821, 0.2284, 0.9921)
Co (0.7196, 0.7204, 0.5059)
Co (0.7186, 0.7767, 0.0050)

Corrected total energy (MP2020 scheme) = -0.2682 hartree per atom
Density = 3.2 g cm⁻³
Excess energy over the best structure of this formula in the dataset = 0.42 eV/f.u.
E_form = -1970.5 kJ/mol of formula units
V = 12.0 A^3/atom
VASP energy = -6.655 eV/atom

No. 6
# Li2Cr3BiO8

Li2Cr3BiO8 after structural relaxation (GGA+U, Materials Project).

Cell lengths 6.0421, 10.9069, 6.0422 Å; angles 90.00, 120.00, 73.92 degrees
Fractional positions:
Li (0.8729, 0.1907, 0.9364)
Li (0.8728, 0.6908, 0.4364)
Li (0.1272, 0.3092, 0.5636)
Li (0.1271, 0.8093, 0.0636)
Cr (0.5000, 0.5000, 0.5000)
Cr (0.5000, 0.0000, 0.4999)
Cr (0.5000, 0.0000, 0.9999)
Cr (0.0000, 0.5000, 0.0000)
Cr (0.0000, 0.0000, 0.5000)
Cr (0.5000, 0.5000, 0.0000)
O (0.2817, 0.1120, 0.1409)
O (0.2666, 0.1000, 0.6333)
O (0.7183, 0.8880, 0.8591)
O (0.7333, 0.9000, 0.3667)
O (0.7471, 0.6120, 0.1062)
O (0.2529, 0.8880, 0.8592)
O (0.2666, 0.6001, 0.1333)
O (0.7471, 0.1120, 0.6063)
O (0.7472, 0.1120, 0.1409)
O (0.2529, 0.3880, 0.8938)
O (0.2529, 0.8880, 0.3937)
O (0.2529, 0.3880, 0.3591)
O (0.7471, 0.6120, 0.6409)
O (0.2818, 0.6120, 0.6409)
O (0.7334, 0.3999, 0.8667)
O (0.7182, 0.3880, 0.3591)
Bi (0.5000, 0.7500, 0.7500)
Bi (0.5000, 0.2500, 0.2500)

Corrected total energy (MP2020 scheme) = -0.2789 hartree per atom
Density = 5.2 g cm⁻³
Excess energy over the best structure of this formula in the dataset = 0.00 eV/f.u.
E_form = -2895.9 kJ/mol of formula units
V = 11.7 A^3/atom
VASP energy = -6.769 eV/atom